--- a ---
VASP calculation (GGA+U) on crystalline LiNi9O13 at its relaxed geometry.

- crystal system = triclinic
- magnetic moment (μB/f.u.) = 12.4
- space group = P1

Unit cell a=2.8826 b=5.1596 c=16.2283 alpha=99.14 beta=90.05 gamma=106.05
With the nearest neighbours (Å) after each atom.
Sites, in units of the cell vectors:
Ni  0.6367  0.2708  0.0423  6 O 2.01-2.13
O  0.9877  0.9729  0.9911  5 Ni 2.04-2.13
O  0.1264  0.2534  0.4854  5 Ni 2.07-2.09
O  0.9000  0.7979  0.2332  2 Ni 1.91-2.04, 1 Li 1.91
Ni  0.1068  0.2129  0.2418  5 O 1.91-2.04
Ni  0.4935  0.9894  0.5182  6 O 1.93-2.11
O  0.1175  0.2347  0.7788  2 Ni 1.83-1.84
O  0.2857  0.5685  0.0639  5 Ni 1.99-2.05
O  0.3862  0.7723  0.7078  3 Ni 1.92-1.99
O  0.5754  0.1501  0.1542  5 Ni 2.01-2.17
Ni  0.2450  0.4927  0.6043  6 O 1.99-2.09
O  0.4246  0.8485  0.8497  3 Ni 1.92-1.97
Ni  0.9145  0.8270  0.1173  3 O 1.91-2.03
Ni  0.3388  0.6753  0.9507  6 O 1.97-2.09
O  0.8759  0.7549  0.5694  5 Ni 1.99-2.11
Ni  0.7373  0.4758  0.4338  5 O 1.98-2.08
Li  0.9485  0.9013  0.3522  3 O 1.91-2.02
O  0.6090  0.2213  0.6300  5 Ni 1.98-2.06
O  0.6862  0.3688  0.9243  5 Ni 2.01-2.09
O  0.3648  0.7328  0.4147  3 Ni 1.93-1.98, 2 Li 2.02
O  0.6271  0.2534  0.3205  3 Ni 1.91-1.98
Ni  0.0518  0.1026  0.8785  6 O 1.84-2.04
Ni  0.9982  0.9981  0.6798  4 O 1.83-1.99

=====

--- b ---
VASP calculation (GGA+U) on crystalline LiNi9O13 at its relaxed geometry.

- crystal system = monoclinic
- magnetic moment (μB/f.u.) = 15.0
- space group = Cm

Unit cell a=2.9046 b=5.1180 c=16.7833 alpha=98.68 beta=90.01 gamma=106.48
With the nearest neighbours (Å) after each atom.
Sites, in units of the cell vectors:
O  0.6100  0.2199  0.3031  3 Ni 1.92-1.97
Ni  0.9959  0.9922  0.3291  6 O 1.86-2.08
O  0.3939  0.7874  0.6614  1 Li 1.83, 3 Ni 1.94
O  0.6229  0.2462  0.5970  5 Ni 2.05-2.08
Ni  0.0213  0.0424  0.6516  5 O 1.94-2.06
O  0.5754  0.1494  0.1627  3 Ni 1.93-2.01
O  0.3856  0.7715  0.3742  5 Ni 2.03-2.08
Ni  0.2557  0.5116  0.5646  5 O 1.94-2.08
O  0.8803  0.7593  0.2306  2 Ni 1.82-1.86
O  0.3089  0.6170  0.0860  5 Ni 2.00-2.07
Ni  0.9475  0.8941  0.1355  4 O 1.82-1.95
Ni  0.4996  0.9994  0.4864  6 O 2.03-2.10
O  0.8630  0.7262  0.5127  5 Ni 2.02-2.07
O  0.0102  0.0201  0.0311  5 Ni 1.95-2.11
O  0.4541  0.9079  0.8824  1 Li 1.83, 3 Ni 1.92-1.95
Li  0.4229  0.8446  0.7718  2 O 1.83
Ni  0.0878  0.1750  0.8918  5 O 1.95-2.05
O  0.0896  0.1788  0.7720  2 Ni 2.01-2.03, 2 Li 2.19
Ni  0.7486  0.4976  0.4015  6 O 1.97-2.09
O  0.7181  0.4348  0.9459  5 Ni 2.05-2.10
O  0.1216  0.2435  0.4409  6 Ni 2.08-2.28
Ni  0.3691  0.7377  0.9776  6 O 1.92-2.11
Ni  0.6596  0.3185  0.0612  6 O 2.01-2.10

=====

--- c ---
VASP calculation (GGA+U) on crystalline LiNi9O13 at its relaxed geometry.

- crystal system = triclinic
- magnetic moment (μB/f.u.) = 7.8
- space group = P1

Unit cell a=2.8888 b=5.1867 c=16.1725 alpha=98.83 beta=90.04 gamma=106.16
With the nearest neighbours (Å) after each atom.
Sites, in units of the cell vectors:
Ni  0.7376  0.4796  0.4351  5 O 1.93-2.02
O  0.9141  0.8271  0.2360  2 Li 1.92, 2 Ni 1.93-2.00
O  0.2930  0.5824  0.0652  5 Ni 1.99-2.06
O  0.5846  0.1688  0.1540  5 Ni 1.99-2.19
O  0.6393  0.2824  0.3176  3 Ni 1.90-2.00, 1 Li 2.07
Ni  0.3466  0.6905  0.9519  6 O 1.95-2.10
Ni  0.2492  0.5006  0.6069  6 O 2.00-2.13
O  0.6112  0.2243  0.6283  5 Ni 1.99-2.06
O  0.8831  0.7683  0.5684  5 Ni 1.97-2.13
Ni  0.0039  0.0086  0.6777  6 O 1.83-2.04
Li  0.4334  0.8655  0.3154  4 O 1.88-2.07
Ni  0.4944  0.9922  0.5163  6 O 1.95-2.12
O  0.1331  0.2700  0.4839  5 Ni 2.01-2.13
O  0.3958  0.7917  0.7072  3 Ni 1.91-2.00
Ni  0.1140  0.2307  0.2405  5 O 1.90-2.00
O  0.4347  0.8627  0.8515  3 Ni 1.92-1.95
O  0.1216  0.2437  0.7766  2 Ni 1.83-1.85
Ni  0.9231  0.8420  0.1173  3 O 1.93-2.03
Ni  0.6450  0.2864  0.0420  6 O 1.99-2.13
O  0.6921  0.3853  0.9246  5 Ni 2.02-2.10
O  0.3567  0.7182  0.4157  1 Li 1.88, 3 Ni 1.93-1.95
O  0.9962  0.9874  0.9937  6 Ni 2.07-2.23
Ni  0.0600  0.1169  0.8783  6 O 1.85-2.07

=====

It comes down to b, which is 37 meV per atom more stable than the next structure.

=====

--- a ---
VASP calculation (GGA+U) on crystalline Li2NiO2 at its relaxed geometry.

- crystal system = trigonal
- space group = P-3m1

Unit cell a=3.1277 b=3.1277 c=5.0864 alpha=90.00 beta=90.00 gamma=120.00
With the nearest neighbours (Å) after each atom.
Sites, in units of the cell vectors:
O  0.6667  0.3333  0.7661  4 Li 1.91-2.07
O  0.3333  0.6667  0.2339  4 Li 1.91-2.07
Li  0.6667  0.3333  0.3583  4 O 1.91-2.07
Ni  0.0000  0.0000  0.0000  6 O 2.16
Li  0.3333  0.6667  0.6417  4 O 1.91-2.07

=====

--- b ---
VASP calculation (GGA+U) on crystalline Li2NiO2 at its relaxed geometry.

- crystal system = trigonal
- magnetic moment (μB/f.u.) = 2.0
- space group = R-3m

Unit cell a=3.0711 b=3.0711 c=6.6497 alpha=76.65 beta=90.00 gamma=60.00
With the nearest neighbours (Å) after each atom.
Sites, in units of the cell vectors:
O  0.6035  0.7930  0.8104  3 Li 1.88
Ni  0.0000  0.0000  0.0000  6 O 2.15
Li  0.7628  0.4744  0.2885  3 O 1.88
Li  0.2372  0.5256  0.7115  3 O 1.88
O  0.3965  0.2070  0.1896  3 Li 1.88

=====

--- c ---
VASP calculation (GGA+U) on crystalline Li2NiO2 at its relaxed geometry.

- crystal system = monoclinic
- magnetic moment (μB/f.u.) = 0.0
- space group = C2/m

Unit cell a=2.8230 b=3.7486 c=5.1405 alpha=111.20 beta=105.89 gamma=90.05
With the nearest neighbours (Å) after each atom.
Sites, in units of the cell vectors:
Ni  0.0000  0.5000  0.0000  4 O 1.92
Li  0.2957  0.7952  0.5914  4 O 1.96-2.00
O  0.6425  0.6428  0.2837  2 Ni 1.92, 4 Li 1.96-2.00
O  0.3576  0.3572  0.7163  2 Ni 1.92, 4 Li 1.96-2.00
Li  0.7042  0.2048  0.4086  4 O 1.96-2.00

=====

It comes down to a, which is 78 meV per atom more stable than the next structure.

=====

--- a ---
VASP calculation (GGA+U) on crystalline Li7Ni5O12 at its relaxed geometry.

- crystal system = triclinic
- magnetic moment (μB/f.u.) = 3.0
- space group = P-1

Unit cell a=5.7710 b=6.3687 c=6.4662 alpha=96.58 beta=116.44 gamma=103.06
With the nearest neighbours (Å) after each atom.
Sites, in units of the cell vectors:
Ni  0.0005  0.6679  0.6694  6 O 1.89-2.02
O  0.6205  0.3127  0.0812  3 Ni 1.88-2.03, 2 Li 2.05-2.06
Li  0.7468  0.9979  0.4968  6 O 2.03-2.20
O  0.6254  0.6503  0.4205  3 Ni 1.91-2.03, 3 Li 2.09-2.11
O  0.1308  0.6520  0.4382  3 Ni 1.93-1.97, 2 Li 2.11-2.16
Li  0.2474  0.3272  0.8357  6 O 2.06-2.17
Ni  0.4964  0.3335  0.3292  6 O 1.89-2.03
Ni  0.5036  0.6665  0.6708  6 O 1.89-2.03
O  0.6082  0.9807  0.7606  2 Ni 1.89-1.91, 3 Li 2.03-2.11
Li  0.0000  0.0000  0.0000  6 O 2.03-2.06
Li  0.2532  0.0021  0.5032  6 O 2.03-2.20
O  0.8561  0.0179  0.2386  2 Ni 1.89-1.91, 3 Li 2.04-2.08
Li  0.7526  0.6728  0.1643  6 O 2.06-2.17
O  0.8692  0.3480  0.5618  3 Ni 1.93-1.97, 2 Li 2.11-2.16
O  0.3746  0.3497  0.5795  3 Ni 1.91-2.03, 3 Li 2.09-2.11
Ni  0.9995  0.3321  0.3306  6 O 1.89-2.02
O  0.3795  0.6873  0.9188  3 Ni 1.88-2.03, 2 Li 2.05-2.06
Ni  0.5000  0.0000  0.0000  6 O 1.88-1.91
O  0.3918  0.0193  0.2394  2 Ni 1.89-1.91, 3 Li 2.03-2.11
O  0.1439  0.9821  0.7614  2 Ni 1.89-1.91, 3 Li 2.04-2.08
Li  0.7517  0.3304  0.8353  6 O 2.01-2.16
O  0.8616  0.6629  0.8872  2 Ni 1.91-1.92, 2 Li 2.01-2.03
Li  0.2483  0.6696  0.1647  6 O 2.01-2.16
O  0.1384  0.3371  0.1128  2 Ni 1.91-1.92, 2 Li 2.01-2.03

=====

--- b ---
VASP calculation (GGA+U) on crystalline Li7Ni5O12 at its relaxed geometry.

- crystal system = monoclinic
- magnetic moment (μB/f.u.) = 3.0
- space group = C2

Unit cell a=4.9901 b=4.9901 c=9.4766 alpha=85.06 beta=94.94 gamma=60.77
With the nearest neighbours (Å) after each atom.
Sites, in units of the cell vectors:
Ni  0.4130  0.4130  0.2500  6 O 1.90-1.93
O  0.0683  0.7546  0.1305  3 Ni 1.90-2.05, 2 Li 2.06-2.07
O  0.9381  0.2562  0.8732  2 Ni 1.88-1.91, 2 Li 2.03-2.06
Li  0.7460  0.7460  0.2500  6 O 2.04-2.20
Li  0.1766  0.6553  0.5101  5 O 2.00-2.14
Li  0.2585  0.2585  0.7500  6 O 1.99-2.22
O  0.1594  0.3421  0.3744  3 Ni 1.93-2.01, 1 Li 2.14
Li  0.9188  0.9188  0.7500  6 O 2.03-2.16
O  0.5513  0.3014  0.6325  2 Ni 1.94-2.08, 4 Li 1.96-2.03
O  0.2562  0.9381  0.6268  2 Ni 1.88-1.91, 2 Li 2.03-2.06
Li  0.3265  0.8367  0.9905  5 O 1.96-2.17
O  0.7191  0.4225  0.1410  2 Ni 1.90-1.93, 2 Li 2.04-2.06
O  0.4225  0.7191  0.3590  2 Ni 1.90-1.93, 2 Li 2.04-2.06
Ni  0.0034  0.5040  0.9955  5 O 1.88-2.08
Ni  0.0759  0.0759  0.2500  6 O 1.90-2.05
O  0.3014  0.5513  0.8675  2 Ni 1.94-2.08, 4 Li 1.96-2.03
Li  0.8367  0.3265  0.5095  5 O 1.96-2.17
O  0.3421  0.1594  0.1256  3 Ni 1.93-2.01, 1 Li 2.14
Ni  0.5040  0.0034  0.5045  5 O 1.88-2.08
Li  0.6553  0.1766  0.9899  5 O 2.00-2.14
O  0.8355  0.6511  0.6199  2 Ni 1.88-1.94, 3 Li 2.00-2.08
O  0.7546  0.0683  0.3695  3 Ni 1.90-2.05, 2 Li 2.06-2.07
O  0.6511  0.8355  0.8801  2 Ni 1.88-1.94, 3 Li 2.00-2.08
Ni  0.5857  0.5857  0.7500  6 O 1.91-1.94

=====

It comes down to a, which is 14 meV per atom more stable than the next structure.

=====

--- a ---
VASP calculation (GGA+U) on crystalline LiNi3O4 at its relaxed geometry.

- crystal system = orthorhombic
- space group = Cmmm

Unit cell a=5.1376 b=5.1380 c=5.8298 alpha=90.00 beta=90.00 gamma=110.28
With the nearest neighbours (Å) after each atom.
Sites, in units of the cell vectors:
O  0.2477  0.2523  0.7500  5 Ni 2.07-2.13, 1 Li 2.09
Ni  0.0000  0.0000  0.0013  6 O 2.06-2.11
Li  0.0000  0.5000  0.2500  6 O 2.11-2.12
O  0.2504  0.2497  0.2500  5 Ni 2.06-2.10, 1 Li 2.11
Ni  0.5000  0.0000  0.2500  6 O 1.94-2.10
Ni  0.5000  0.0000  0.7500  6 O 2.03-2.13
Ni  0.0000  0.0000  0.4983  6 O 2.06-2.11
O  0.7289  0.2289  0.4889  4 Ni 1.94-2.11, 1 Li 2.12
O  0.7289  0.2289  0.0111  4 Ni 1.94-2.11, 1 Li 2.12
Ni  0.5000  0.5000  0.0017  6 O 2.06-2.11
Li  0.0000  0.5000  0.7500  6 O 2.09-2.20
O  0.7496  0.7503  0.2500  5 Ni 2.06-2.10, 1 Li 2.11
Ni  0.5000  0.5000  0.4987  6 O 2.06-2.11
O  0.2710  0.7711  0.0111  4 Ni 1.94-2.11, 1 Li 2.12
O  0.7523  0.7477  0.7500  5 Ni 2.07-2.13, 1 Li 2.09
O  0.2711  0.7711  0.4889  4 Ni 1.94-2.11, 1 Li 2.12

=====

--- b ---
VASP calculation (GGA+U) on crystalline LiNi3O4 at its relaxed geometry.

- crystal system = monoclinic
- magnetic moment (μB/f.u.) = 0.0
- space group = C2/m

Unit cell a=5.8727 b=5.9138 c=5.9118 alpha=120.28 beta=90.51 gamma=59.94
With the nearest neighbours (Å) after each atom.
Sites, in units of the cell vectors:
O  0.2478  0.4993  0.2208  4 Ni 1.95-2.10
Ni  0.0000  0.4999  0.0000  6 O 1.93-2.15
Li  0.5000  0.5000  0.5000  6 O 2.05-2.25
O  0.7686  0.9623  0.2310  5 Ni 1.93-2.10
O  0.7522  0.5008  0.7791  4 Ni 1.95-2.10
Ni  0.0001  0.9999  0.9999  6 O 2.07-2.10
O  0.2754  0.4997  0.7626  3 Ni 1.92-2.10, 1 Li 2.05
Ni  0.5000  0.0001  0.5000  6 O 2.08-2.10
O  0.7245  0.5003  0.2373  3 Ni 1.92-2.10, 1 Li 2.05
Li  0.0000  0.5000  0.5000  6 O 2.07-2.23
O  0.2468  0.0058  0.2528  1 Li 2.07, 5 Ni 2.07-2.11
Ni  0.0000  0.0000  0.5001  6 O 2.08-2.10
O  0.7532  0.9942  0.7473  1 Li 2.07, 5 Ni 2.07-2.11
Ni  0.5001  0.0000  0.0000  6 O 2.08-2.09
O  0.2314  0.0378  0.7691  5 Ni 1.93-2.10
Ni  0.5000  0.5000  0.0000  6 O 1.92-2.11

=====

It comes down to b, which is 9 meV per atom more stable than the next structure.